<one>
Entry from the Materials Project: CoP2O7 after structural relaxation (PBE+U).

Structure (CIF):
```
data_CoP2O7
_chemical_formula_sum 'Co4 P8 O28'
_cell_length_a 6.9633
_cell_length_b 8.7049
_cell_length_c 9.3647
_cell_angle_alpha 90.00
_cell_angle_beta 108.02
_cell_angle_gamma 90.00
_space_group_name_H-M_alt 'P 1 21/c 1'
_space_group_IT_number 14
_space_group_name_Hall '-P 2ybc'
loop_
_atom_site_label
_atom_site_type_symbol
_atom_site_fract_x
_atom_site_fract_y
_atom_site_fract_z
Co1 Co 0.1772 0.0737 0.2950
P1 P 0.0225 0.7113 0.9688
P2 P 0.4099 0.7503 0.2442
O1 O 0.0039 0.6298 0.3860
O2 O 0.0154 0.5808 0.8598
O3 O 0.1372 0.2059 0.4499
O4 O 0.2434 0.7098 0.0867
O5 O 0.3706 0.5878 0.7905
O6 O 0.3862 0.2298 0.2837
O7 O 0.4029 0.6270 0.3596
```

<two>
Entry from the Materials Project: CoP2O7 after structural relaxation (PBE+U).

Structure (CIF):
```
data_CoP2O7
_chemical_formula_sum 'Co2 P4 O14'
_cell_length_a 5.1546
_cell_length_b 6.7579
_cell_length_c 8.2784
_cell_angle_alpha 68.95
_cell_angle_beta 87.89
_cell_angle_gamma 88.46
_space_group_name_H-M_alt 'P -1'
_space_group_IT_number 2
_space_group_name_Hall '-P 1'
loop_
_atom_site_label
_atom_site_type_symbol
_atom_site_fract_x
_atom_site_fract_y
_atom_site_fract_z
Co1 Co 0.2406 0.2146 0.2291
P1 P 0.2438 0.1080 0.6675
P2 P 0.2811 0.4547 0.8096
O1 O 0.0353 0.9520 0.2666
O2 O 0.0865 0.6371 0.7432
O3 O 0.1945 0.2865 0.9823
O4 O 0.2815 0.1285 0.4787
O5 O 0.2890 0.3426 0.6671
O6 O 0.4430 0.4695 0.1899
O7 O 0.4440 0.9600 0.7843
```

From most stable to least stable, the computed energies give <two>, <one>.

<one>
Entry from the Materials Project: CoP2O7 after structural relaxation (PBE+U).

Structure (CIF):
```
data_CoP2O7
_chemical_formula_sum 'Co4 P8 O28'
_cell_length_a 7.0899
_cell_length_b 7.8579
_cell_length_c 9.0962
_cell_angle_alpha 90.00
_cell_angle_beta 110.21
_cell_angle_gamma 90.00
_space_group_name_H-M_alt 'P 1 21/c 1'
_space_group_IT_number 14
_space_group_name_Hall '-P 2ybc'
loop_
_atom_site_label
_atom_site_type_symbol
_atom_site_fract_x
_atom_site_fract_y
_atom_site_fract_z
Co1 Co 0.2318 0.0068 0.2527
P1 P 0.1723 0.6991 0.4438
P2 P 0.4247 0.2373 0.5575
O1 O 0.0351 0.5776 0.3208
O2 O 0.1487 0.6101 0.9057
O3 O 0.1720 0.6810 0.6126
O4 O 0.2752 0.1485 0.0965
O5 O 0.3178 0.1944 0.3828
O6 O 0.3883 0.6438 0.4369
O7 O 0.4980 0.5831 0.8332
```

<two>
Entry from the Materials Project: CoP2O7 after structural relaxation (PBE+U).

Structure (CIF):
```
data_CoP2O7
_chemical_formula_sum 'Co8 P16 O56'
_cell_length_a 8.9989
_cell_length_b 12.8778
_cell_length_c 9.5233
_cell_angle_alpha 90.00
_cell_angle_beta 109.86
_cell_angle_gamma 90.00
_space_group_name_H-M_alt 'P 1 21/c 1'
_space_group_IT_number 14
_space_group_name_Hall '-P 2ybc'
loop_
_atom_site_label
_atom_site_type_symbol
_atom_site_fract_x
_atom_site_fract_y
_atom_site_fract_z
Co1 Co 0.2463 0.2465 0.2460
Co2 Co 0.2510 0.0877 0.5023
P1 P 0.0079 0.2223 0.9265
P2 P 0.0434 0.0483 0.7307
P3 P 0.4414 0.0367 0.2625
P4 P 0.4829 0.2120 0.0669
O1 O 0.0359 0.6252 0.6821
O2 O 0.0955 0.5103 0.9023
O3 O 0.1023 0.1769 0.0832
O4 O 0.1224 0.2099 0.3690
O5 O 0.1346 0.5373 0.3294
O6 O 0.1352 0.7178 0.0778
O7 O 0.1495 0.1212 0.6690
O8 O 0.3443 0.1149 0.3258
O9 O 0.3481 0.5546 0.6808
O10 O 0.3628 0.7364 0.9148
O11 O 0.3746 0.2178 0.6280
O12 O 0.3905 0.1802 0.9032
O13 O 0.4108 0.5047 0.1079
O14 O 0.4940 0.6052 0.3450
```

From most stable to least stable, the computed energies give <one>, <two>.

<one>
Entry from the Materials Project: CoP2O7 after structural relaxation (PBE+U).

Structure (CIF):
```
data_CoP2O7
_chemical_formula_sum 'Co4 P8 O28'
_cell_length_a 6.8143
_cell_length_b 7.8254
_cell_length_c 9.2135
_cell_angle_alpha 90.00
_cell_angle_beta 109.46
_cell_angle_gamma 90.00
_space_group_name_H-M_alt 'P 1 21/c 1'
_space_group_IT_number 14
_space_group_name_Hall '-P 2ybc'
loop_
_atom_site_label
_atom_site_type_symbol
_atom_site_fract_x
_atom_site_fract_y
_atom_site_fract_z
Co1 Co 0.2194 0.2224 0.0048
P1 P 0.0325 0.5947 0.2959
P2 P 0.4301 0.0369 0.7960
O1 O 0.0170 0.2412 0.1109
O2 O 0.0196 0.0822 0.8649
O3 O 0.1038 0.0923 0.3765
O4 O 0.2687 0.6149 0.2971
O5 O 0.3539 0.0472 0.1507
O6 O 0.3968 0.1051 0.6342
O7 O 0.4160 0.1801 0.9087
```

<two>
Entry from the Materials Project: CoP2O7 after structural relaxation (PBE+U).

Structure (CIF):
```
data_CoP2O7
_chemical_formula_sum 'Co4 P8 O28'
_cell_length_a 6.8409
_cell_length_b 7.9594
_cell_length_c 9.3018
_cell_angle_alpha 90.01
_cell_angle_beta 109.15
_cell_angle_gamma 90.07
_space_group_name_H-M_alt 'P 1'
_space_group_IT_number 1
_space_group_name_Hall 'P 1'
loop_
_atom_site_label
_atom_site_type_symbol
_atom_site_fract_x
_atom_site_fract_y
_atom_site_fract_z
Co1 Co 0.0000 0.0000 0.0000
Co2 Co 0.0010 0.0563 0.5010
Co3 Co 0.4375 0.5080 0.5139
Co4 Co 0.4403 0.5604 0.0109
P1 P 0.1851 0.3682 0.7125
P2 P 0.1875 0.6927 0.2090
P3 P 0.2458 0.1892 0.2947
P4 P 0.2554 0.8749 0.8023
P5 P 0.6487 0.3139 0.3013
P6 P 0.6521 0.7492 0.8083
P7 P 0.7887 0.2344 0.7123
P8 P 0.7909 0.8172 0.2110
O1 O 0.1096 0.1832 0.1251
O2 O 0.1240 0.8746 0.6313
O3 O 0.1967 0.8675 0.1391
O4 O 0.1997 0.1935 0.6442
O5 O 0.2036 0.0162 0.8962
O6 O 0.2035 0.0477 0.3943
O7 O 0.2256 0.5081 0.6133
O8 O 0.2283 0.5506 0.1086
O9 O 0.2312 0.3647 0.3552
O10 O 0.2431 0.6969 0.8652
O11 O 0.3297 0.3748 0.8802
O12 O 0.3333 0.6926 0.3714
O13 O 0.4820 0.1667 0.2965
O14 O 0.4933 0.8988 0.8121
O15 O 0.5762 0.7333 0.1612
O16 O 0.5780 0.3165 0.6574
O17 O 0.6062 0.6805 0.6501
O18 O 0.6140 0.3874 0.1430
O19 O 0.6344 0.4515 0.4135
O20 O 0.6432 0.6101 0.9248
O21 O 0.8046 0.9567 0.0987
O22 O 0.8066 0.0966 0.5975
O23 O 0.8203 0.1607 0.8700
O24 O 0.8281 0.8833 0.3724
O25 O 0.8609 0.2271 0.3536
O26 O 0.8690 0.8285 0.8583
O27 O 0.9530 0.3833 0.7168
O28 O 0.9541 0.6697 0.2108
```

From most stable to least stable, the computed energies give <one>, <two>.

<one>
Entry from the Materials Project: Li7Mn5O12 after structural relaxation (PBE+U).

Structure (CIF):
```
data_Li7Mn5O12
_chemical_formula_sum 'Li14 Mn10 O24'
_cell_length_a 6.5204
_cell_length_b 7.8086
_cell_length_c 9.0073
_cell_angle_alpha 83.09
_cell_angle_beta 76.57
_cell_angle_gamma 87.07
_space_group_name_H-M_alt 'P -1'
_space_group_IT_number 2
_space_group_name_Hall '-P 1'
loop_
_atom_site_label
_atom_site_type_symbol
_atom_site_fract_x
_atom_site_fract_y
_atom_site_fract_z
Li1 Li 0.1133 0.1300 0.0407
Li2 Li 0.1225 0.1135 0.7131
Li3 Li 0.1287 0.1165 0.3833
Li4 Li 0.2482 0.7541 0.7504
Li5 Li 0.3733 0.3807 0.1157
Li6 Li 0.3778 0.3802 0.7982
Li7 Li 0.3862 0.3729 0.4505
Mn1 Mn 0.0000 0.5000 0.0000
Mn2 Mn 0.9996 0.4998 0.3304
Mn3 Mn 0.2491 0.7532 0.0747
Mn4 Mn 0.2510 0.7441 0.4224
Mn5 Mn 0.4923 0.0035 0.8303
Mn6 Mn 0.5000 0.0000 0.5000
O1 O 0.0417 0.3111 0.5344
O2 O 0.0482 0.3165 0.8698
O3 O 0.0574 0.3412 0.1749
O4 O 0.2016 0.9477 0.8927
O5 O 0.2057 0.9306 0.5503
O6 O 0.2086 0.9126 0.2395
O7 O 0.2895 0.5756 0.5897
O8 O 0.2946 0.5656 0.9442
O9 O 0.3008 0.5651 0.2845
O10 O 0.4456 0.1558 0.3255
O11 O 0.4533 0.1912 0.6254
O12 O 0.4548 0.1875 0.9715
```

<two>
Entry from the Materials Project: Li7Mn5O12 after structural relaxation (PBE+U).

Structure (CIF):
```
data_Li7Mn5O12
_chemical_formula_sum 'Li7 Mn5 O12'
_cell_length_a 5.2224
_cell_length_b 6.0192
_cell_length_c 7.7888
_cell_angle_alpha 76.34
_cell_angle_beta 74.94
_cell_angle_gamma 70.38
_space_group_name_H-M_alt 'P -1'
_space_group_IT_number 2
_space_group_name_Hall '-P 1'
loop_
_atom_site_label
_atom_site_type_symbol
_atom_site_fract_x
_atom_site_fract_y
_atom_site_fract_z
Li1 Li 0.0000 0.0000 0.0000
Li2 Li 0.0000 0.5000 0.0000
Li3 Li 0.0042 0.3419 0.6615
Li4 Li 0.0051 0.8271 0.6612
Li5 Li 0.5000 0.5000 0.5000
Mn1 Mn 0.4941 0.6621 0.8293
Mn2 Mn 0.4987 0.1687 0.8288
Mn3 Mn 0.5000 0.0000 0.5000
O1 O 0.2598 0.9847 0.7368
O2 O 0.2644 0.6539 0.0727
O3 O 0.2715 0.3166 0.4069
O4 O 0.2740 0.4885 0.7581
O5 O 0.2838 0.1571 0.0807
O6 O 0.2871 0.8508 0.4136
```

<three>
Entry from the Materials Project: Li7Mn5O12 after structural relaxation (PBE+U).

Structure (CIF):
```
data_Li7Mn5O12
_chemical_formula_sum 'Li14 Mn10 O24'
_cell_length_a 12.5696
_cell_length_b 2.9947
_cell_length_c 12.1096
_cell_angle_alpha 90.00
_cell_angle_beta 104.24
_cell_angle_gamma 90.00
_space_group_name_H-M_alt 'C 1 2/m 1'
_space_group_IT_number 12
_space_group_name_Hall '-C 2y'
loop_
_atom_site_label
_atom_site_type_symbol
_atom_site_fract_x
_atom_site_fract_y
_atom_site_fract_z
Li1 Li 0.0000 0.0000 0.0000
Li2 Li 0.0011 0.0000 0.7620
Li3 Li 0.1570 0.5000 0.9137
Li4 Li 0.1661 0.5000 0.4203
Mn1 Mn 0.0000 0.0000 0.5000
Mn2 Mn 0.1625 0.5000 0.1594
Mn3 Mn 0.1646 0.5000 0.6715
O1 O 0.0072 0.5000 0.6239
O2 O 0.0130 0.5000 0.1296
O3 O 0.1594 0.0000 0.5427
O4 O 0.1684 0.0000 0.0581
O5 O 0.1727 0.0000 0.7917
O6 O 0.1756 0.0000 0.2778
```

<four>
Entry from the Materials Project: Li7Mn5O12 after structural relaxation (PBE+U).

Structure (CIF):
```
data_Li7Mn5O12
_chemical_formula_sum 'Li7 Mn5 O12'
_cell_length_a 2.9906
_cell_length_b 5.1032
_cell_length_c 15.1153
_cell_angle_alpha 96.22
_cell_angle_beta 93.50
_cell_angle_gamma 103.20
_space_group_name_H-M_alt 'P -1'
_space_group_IT_number 2
_space_group_name_Hall '-P 1'
loop_
_atom_site_label
_atom_site_type_symbol
_atom_site_fract_x
_atom_site_fract_y
_atom_site_fract_z
Li1 Li 0.0000 0.0000 0.0000
Li2 Li 0.0182 0.7642 0.2498
Li3 Li 0.2939 0.5703 0.0723
Li4 Li 0.3357 0.0854 0.5836
Mn1 Mn 0.0000 0.5000 0.5000
Mn2 Mn 0.3180 0.3255 0.3318
Mn3 Mn 0.3443 0.8347 0.8404
O1 O 0.0192 0.6091 0.3778
O2 O 0.0481 0.9189 0.1300
O3 O 0.2828 0.4196 0.2078
O4 O 0.3038 0.2195 0.4541
O5 O 0.3233 0.7043 0.9480
O6 O 0.3669 0.9464 0.7140
```

From most stable to least stable, the computed energies give <one>, <two>, <four>, <three>.